[1]
Below is a relaxed Li7Fe5O16 crystal, with properties calculated at the PBE+U level.

Space-group type   P1
Energy of formation   -41.91 eV per formula unit

Structure (POSCAR):
```
Li7Fe5O16
1.0
5.755 0.000 0.000
-2.858 5.197 0.000
-0.065 -0.545 9.418
Li Fe O
7 5 16
direct
0.000 0.000 0.000
0.004 0.008 0.524
0.173 0.343 0.287
0.335 0.665 0.601
0.344 0.163 0.786
0.675 0.340 0.099
0.822 0.162 0.786
0.170 0.830 0.288
0.329 0.653 0.014
0.640 0.280 0.525
0.664 0.828 0.286
0.818 0.635 0.787
0.046 0.548 0.154
0.155 0.796 0.902
0.172 0.341 0.924
0.333 0.147 0.409
0.352 0.691 0.389
0.494 0.962 0.157
0.506 0.544 0.155
0.517 0.029 0.643
0.527 0.476 0.648
0.644 0.795 0.901
0.684 0.361 0.895
0.817 0.151 0.409
0.829 0.681 0.395
0.951 0.478 0.645
0.978 0.953 0.717
0.991 0.987 0.197
```


[2]
Below is a relaxed Li14Fe4O13 crystal, with properties calculated at the PBE+U level.

Space-group type   P2_1/c
Energy of formation   -59.64 eV per formula unit

Structure (POSCAR):
```
Li14Fe4O13
1.0
5.365 0.000 0.000
0.000 27.391 0.000
-2.469 0.000 4.711
Li Fe O
28 8 26
direct
0.150 0.177 0.165
0.150 0.323 0.665
0.208 0.558 0.709
0.208 0.942 0.209
0.222 0.112 0.694
0.222 0.388 0.194
0.267 0.501 0.232
0.267 0.999 0.732
0.300 0.220 0.732
0.300 0.280 0.232
0.305 0.614 0.279
0.305 0.886 0.779
0.346 0.725 0.269
0.346 0.775 0.769
0.654 0.225 0.231
0.654 0.275 0.731
0.695 0.114 0.221
0.695 0.386 0.721
0.700 0.720 0.768
0.700 0.780 0.268
0.733 0.001 0.268
0.733 0.499 0.768
0.778 0.612 0.806
0.778 0.888 0.306
0.792 0.058 0.791
0.792 0.442 0.291
0.850 0.677 0.335
0.850 0.823 0.835
0.272 0.055 0.271
0.272 0.445 0.771
0.306 0.669 0.816
0.306 0.831 0.316
0.694 0.169 0.684
0.694 0.331 0.184
0.728 0.555 0.229
0.728 0.945 0.729
0.063 0.172 0.748
0.063 0.328 0.248
0.091 0.559 0.273
0.091 0.941 0.773
0.224 0.056 0.904
0.224 0.444 0.404
0.265 0.674 0.448
0.265 0.826 0.948
0.449 0.221 0.454
0.449 0.279 0.954
0.494 0.609 0.999
0.494 0.891 0.499
0.500 0.000 0.500
0.500 0.500 0.000
0.506 0.109 0.501
0.506 0.391 0.001
0.551 0.721 0.046
0.551 0.779 0.546
0.735 0.174 0.052
0.735 0.326 0.552
0.776 0.556 0.596
0.776 0.944 0.096
0.909 0.059 0.227
0.909 0.441 0.727
0.937 0.672 0.752
0.937 0.828 0.252
```


[3]
Below is a relaxed Li3Fe5O12 crystal, with properties calculated at the PBE+U level.

Space-group type   P1
Energy of formation   -28.94 eV per formula unit
ΔE to the lowest computed polymorph   8 meV/atom

Structure (POSCAR):
```
Li3Fe5O12
1.0
5.025 0.000 0.000
2.509 4.359 0.000
1.515 -0.075 20.108
Li Fe O
6 10 24
direct
0.000 0.000 0.000
0.033 0.681 0.877
0.272 0.686 0.123
0.498 0.997 0.500
0.784 0.677 0.623
0.864 0.994 0.377
0.083 0.335 0.750
0.180 0.656 0.500
0.248 0.002 0.250
0.341 0.319 0.000
0.416 0.668 0.750
0.581 0.335 0.250
0.671 0.658 0.000
0.750 0.002 0.750
0.840 0.326 0.500
0.914 0.668 0.250
0.021 0.363 0.949
0.047 0.007 0.801
0.077 0.668 0.699
0.119 0.367 0.551
0.151 0.991 0.449
0.210 0.691 0.301
0.242 0.349 0.200
0.351 0.983 0.050
0.383 0.619 0.950
0.386 0.330 0.800
0.448 0.006 0.699
0.501 0.630 0.550
0.532 0.347 0.450
0.581 0.689 0.200
0.581 0.982 0.301
0.614 0.365 0.052
0.667 0.981 0.950
0.756 0.670 0.801
0.786 0.329 0.700
0.862 0.985 0.550
0.893 0.629 0.450
0.919 0.321 0.300
0.952 0.978 0.199
0.997 0.620 0.050
```


[4]
Below is a relaxed Li10Fe21O32 crystal, with properties calculated at the PBE+U level.

Space-group type   P1
Energy of formation   -105.81 eV per formula unit

Structure (POSCAR):
```
Li10Fe21O32
1.0
5.920 0.000 0.000
-2.831 5.203 0.000
-0.424 -3.234 19.442
Li Fe O
10 21 32
direct
0.000 0.000 0.000
0.001 0.497 0.499
0.130 0.253 0.377
0.260 0.007 0.254
0.381 0.253 0.626
0.515 0.462 0.974
0.629 0.253 0.376
0.753 0.005 0.750
0.879 0.753 0.626
0.955 0.760 0.129
0.016 0.005 0.504
0.115 0.243 0.875
0.129 0.756 0.876
0.131 0.750 0.376
0.254 0.498 0.745
0.254 0.502 0.252
0.266 0.018 0.751
0.368 0.180 0.123
0.377 0.750 0.626
0.479 0.632 0.101
0.497 0.010 0.994
0.505 0.492 0.501
0.509 0.009 0.503
0.632 0.757 0.378
0.640 0.769 0.875
0.741 0.491 0.751
0.757 0.504 0.253
0.767 0.019 0.253
0.870 0.252 0.124
0.881 0.253 0.625
0.995 0.504 0.994
0.045 0.595 0.192
0.060 0.633 0.687
0.073 0.138 0.688
0.081 0.126 0.185
0.157 0.370 0.061
0.191 0.861 0.057
0.194 0.381 0.564
0.202 0.881 0.563
0.295 0.113 0.936
0.314 0.124 0.438
0.323 0.620 0.936
0.323 0.630 0.440
0.427 0.857 0.809
0.439 0.382 0.814
0.443 0.878 0.314
0.458 0.400 0.312
0.559 0.624 0.688
0.568 0.126 0.688
0.577 0.650 0.193
0.578 0.130 0.193
0.657 0.404 0.066
0.691 0.370 0.562
0.693 0.870 0.564
0.695 0.914 0.062
0.811 0.107 0.442
0.817 0.135 0.939
0.822 0.632 0.440
0.830 0.648 0.936
0.939 0.877 0.809
0.945 0.880 0.314
0.947 0.378 0.316
0.959 0.390 0.810
```


[5]
Below is a relaxed Li21Fe4O16 crystal, with properties calculated at the PBE+U level.

Space-group type   C2
Energy of formation   -81.95 eV per formula unit

Structure (POSCAR):
```
Li21Fe4O16
1.0
4.531 -4.726 0.000
4.531 4.726 0.000
-0.023 0.000 9.496
Li Fe O
21 4 16
direct
0.000 0.000 0.000
0.007 0.993 0.500
0.058 0.527 0.263
0.067 0.522 0.755
0.241 0.205 0.222
0.244 0.202 0.721
0.272 0.234 0.471
0.299 0.258 0.973
0.473 0.942 0.737
0.478 0.933 0.245
0.496 0.496 0.761
0.504 0.504 0.239
0.552 0.448 0.500
0.553 0.013 0.492
0.557 0.021 0.990
0.742 0.701 0.027
0.766 0.728 0.529
0.795 0.759 0.778
0.798 0.756 0.279
0.979 0.443 0.010
0.987 0.447 0.508
0.276 0.724 0.000
0.276 0.724 0.500
0.778 0.222 0.248
0.778 0.222 0.752
0.001 0.712 0.411
0.011 0.713 0.912
0.021 0.238 0.362
0.023 0.243 0.864
0.260 0.480 0.114
0.277 0.458 0.615
0.287 0.989 0.088
0.288 0.999 0.589
0.515 0.213 0.840
0.516 0.227 0.347
0.520 0.740 0.886
0.542 0.723 0.385
0.757 0.977 0.136
0.762 0.979 0.638
0.773 0.484 0.653
0.787 0.485 0.160
```


E_tot values, unit eV per atom, following the record order: -5.519, -5.375, -5.843, -6.218, -5.246.